V2F7 | PBE with a Hubbard U | optimized geometry

Unit cell a=8.2958 b=4.7544 c=12.7991 alpha=90.00 beta=92.59 gamma=90.00
With the nearest neighbours (Å) after each atom.
Element x y z (fractional)
V 0.0553 0.0000 0.1098  6 F 1.93-2.07
V 0.1686 0.4922 0.3214  4 F 1.76-1.97
V 0.3295 0.0013 0.5258  3 F 1.75-1.92
V 0.3379 0.4722 0.9581  3 F 1.80-2.02
V 0.6621 0.9722 0.0419  3 F 1.80-2.02
V 0.6705 0.5013 0.4742  3 F 1.75-1.92
V 0.8314 0.9922 0.6786  4 F 1.76-1.97
V 0.9447 0.5000 0.8902  6 F 1.93-2.07
F 0.0056 0.1703 0.6390  1 V 1.77
F 0.0297 0.2357 0.2356  2 V 1.98
F 0.1021 0.7293 0.9877  2 V 2.07
F 0.1441 0.3029 0.8682  2 V 1.93-2.10
F 0.1734 0.2450 0.4483  2 V 1.97-2.00
F 0.1776 0.7297 0.1959  2 V 1.95-1.97
F 0.2044 0.7519 0.5858  1 V 1.77
F 0.2352 0.2370 0.0710  2 V 1.95-2.04
F 0.3019 0.7768 0.3931  2 V 1.95-2.01
F 0.3368 0.3105 0.2770  1 V 1.76
F 0.3536 0.1999 0.6411  1 V 1.75
F 0.3716 0.7050 0.8501  1 V 1.80
F 0.4845 0.2634 0.4568  2 V 1.92-2.02
F 0.4851 0.7022 0.0543  2 V 1.96-2.02
F 0.5149 0.2022 0.9457  2 V 1.96-2.02
F 0.5155 0.7634 0.5432  2 V 1.92-2.02
F 0.6284 0.2050 0.1499  1 V 1.80
F 0.6464 0.6999 0.3589  1 V 1.75
F 0.6632 0.8105 0.7230  1 V 1.76
F 0.6981 0.2768 0.6069  2 V 1.95-2.01
F 0.7648 0.7370 0.9290  2 V 1.95-2.04
F 0.7956 0.2519 0.4142  1 V 1.77
F 0.8224 0.2297 0.8041  2 V 1.95-1.97
F 0.8266 0.7450 0.5517  2 V 1.97-2.00
F 0.8559 0.8029 0.1318  2 V 1.93-2.10
F 0.8979 0.2293 0.0123  2 V 2.07
F 0.9703 0.7357 0.7644  2 V 1.98
F 0.9944 0.6703 0.3610  1 V 1.77

Energy above the most stable polymorph in this dataset (eV/f.u.): 0.78
Raw total energy (Ry/atom): -0.425
Formation enthalpy at 0 K (meV/atom): -3011


VF4 | PBE with a Hubbard U | optimized geometry

Unit cell a=5.8394 b=7.9055 c=3.0834 alpha=90.00 beta=90.00 gamma=90.00
With the nearest neighbours (Å) after each atom.
Element x y z (fractional)
V 0.0000 0.0000 0.0000  6 F 1.77-1.98
V 0.5000 0.5000 0.0000  6 F 1.77-1.98
F 0.0000 0.2240 0.0000  1 V 1.77
F 0.0000 0.7760 0.0000  1 V 1.77
F 0.2130 0.0000 0.5000  2 V 1.98
F 0.2870 0.5000 0.5000  2 V 1.98
F 0.5000 0.2760 0.0000  1 V 1.77
F 0.5000 0.7240 0.0000  1 V 1.77
F 0.7130 0.5000 0.5000  2 V 1.98
F 0.7870 0.0000 0.5000  2 V 1.98

Raw total energy (Ry/atom): -0.411
Formation enthalpy at 0 K (meV/atom): -2960